Entry 1:
## Mn2PO5 (r²SCAN)

Data for a relaxed Mn2PO5 crystal.

abc: 7.6020 6.3319 7.7885
angles: 90.00 90.00 90.00
Fractional positions:
1 Mn 0.0000 0.0000 0.0000
2 Mn 0.0000 0.5000 0.0000
3 Mn 0.1447 0.2500 0.3204
4 Mn 0.3553 0.7500 0.8204
5 Mn 0.5000 0.0000 0.5000
6 Mn 0.5000 0.5000 0.5000
7 Mn 0.6447 0.2500 0.1796
8 Mn 0.8553 0.7500 0.6796
9 P 0.1340 0.7500 0.3362
10 P 0.3660 0.2500 0.8362
11 P 0.6340 0.7500 0.1638
12 P 0.8660 0.2500 0.6638
13 O 0.0209 0.2500 0.5448
14 O 0.0941 0.7500 0.8904
15 O 0.1304 0.5523 0.2177
16 O 0.1304 0.9477 0.2177
17 O 0.1908 0.2500 0.9329
18 O 0.3092 0.7500 0.4329
19 O 0.3696 0.0523 0.7177
20 O 0.3696 0.4477 0.7177
21 O 0.4059 0.2500 0.3904
22 O 0.4791 0.7500 0.0448
23 O 0.5209 0.2500 0.9552
24 O 0.5941 0.7500 0.6096
25 O 0.6304 0.5523 0.2823
26 O 0.6304 0.9477 0.2823
27 O 0.6908 0.2500 0.5671
28 O 0.8092 0.7500 0.0671
29 O 0.8696 0.0523 0.7823
30 O 0.8696 0.4477 0.7823
31 O 0.9059 0.2500 0.1096
32 O 0.9791 0.7500 0.4552

## Properties
The value obtained for the excess energy over the best structure of this formula in the dataset is 0.000 eV per atom. The calculation puts the magnetization at 36.00 μB/cell.

Entry 2:
## Dy3Er (r²SCAN)

Data for a relaxed Dy3Er crystal.

abc: 5.0036 5.0036 5.0036
angles: 90.00 90.00 90.00
Fractional positions:
1 Dy 0.0000 0.0000 0.5000
2 Dy 0.0000 0.5000 0.0000
3 Dy 0.5000 0.0000 0.0000
4 Er 0.5000 0.5000 0.5000

## Properties
The calculation puts the magnetization at 0.00 μB/cell.

Entry 3:
## ZrGaNi (r²SCAN)

Data for a relaxed ZrGaNi crystal.

abc: 6.8579 6.8579 3.4332
angles: 90.00 90.00 120.00
Fractional positions:
1 Zr 0.0000 0.4035 0.0000
2 Zr 0.4035 0.0000 0.0000
3 Zr 0.5965 0.5965 0.0000
4 Ga 0.0000 0.7410 0.5000
5 Ga 0.2590 0.2590 0.5000
6 Ga 0.7410 0.0000 0.5000
7 Ni 0.0000 0.0000 0.0000
8 Ni 0.3333 0.6667 0.5000
9 Ni 0.6667 0.3333 0.5000

## Properties
The calculation puts the magnetization at 0.00 μB/cell.

no.,raw total energy (eV/atom)
1,-10.85
2,-32.42
3,-16.09